(1)
Be2PH5O7 | PBE-GGA | optimized geometry

```
60
Lattice="11.900 0.000 0.000 0.000 6.841 0.000 0.000 3.952 7.629" Properties=species:S:1:pos:R:3 pbc="T T T"
Be 3.782 3.033 0.147
Be 2.168 5.009 3.962
Be 8.118 7.759 7.481
Be 9.731 5.784 3.667
Be 0.858 1.273 0.879
Be 5.091 3.249 4.693
Be 11.041 9.519 6.750
Be 6.808 7.543 2.935
P 1.973 6.039 5.940
P 3.977 4.063 2.125
P 9.927 4.754 1.689
P 7.922 6.730 5.503
H 1.398 3.170 2.846
H 4.552 5.146 6.661
H 10.502 7.622 4.782
H 7.347 5.647 0.968
H 5.783 5.981 7.194
H 0.167 4.006 3.380
H 6.117 4.811 0.435
H 11.733 6.787 4.249
H 5.544 7.306 1.249
H 0.406 9.282 5.063
H 6.356 3.486 6.380
H 11.494 1.511 2.566
H 2.145 6.233 1.681
H 3.804 8.208 5.496
H 9.754 4.560 5.947
H 8.095 2.584 2.133
H 0.679 5.902 1.072
H 5.271 7.878 4.886
H 11.220 4.890 6.556
H 6.629 2.915 2.742
O 2.813 7.213 6.512
O 3.137 5.237 2.698
O 9.087 3.580 1.117
O 8.763 5.556 4.931
O 0.918 5.625 6.991
O 5.031 3.650 3.176
O 10.981 5.167 0.638
O 6.868 7.143 4.452
O 11.889 8.794 5.795
O 5.960 6.818 1.981
O 0.010 1.999 1.833
O 5.939 3.975 5.648
O 1.305 6.335 4.554
O 4.644 4.360 0.740
O 10.594 4.457 3.075
O 7.255 6.433 6.889
O 3.070 2.878 1.658
O 2.880 4.853 5.472
O 8.830 7.915 5.971
O 9.020 5.939 2.156
O 10.760 7.013 4.041
O 7.089 5.037 0.227
O 1.139 3.780 3.587
O 4.810 5.755 7.401
O 7.342 2.226 2.677
O 10.507 4.201 6.491
O 4.558 8.567 4.952
O 1.392 6.591 1.137
```

Computed properties:
Crystal system = monoclinic
E_form = -2.006 eV per atom


(2)
K2Cd3Se4 | PBE-GGA | optimized geometry

```
36
Lattice="6.982 0.000 0.000 0.000 10.868 0.000 0.000 0.000 14.629" Properties=species:S:1:pos:R:3 pbc="T T T"
K 3.491 0.000 7.315
K 0.000 5.434 0.000
K 3.491 5.434 7.315
K 0.000 0.000 0.000
K 0.149 8.151 7.801
K 3.342 8.151 0.486
K 6.833 2.717 6.828
K 3.640 2.717 14.143
Cd 5.092 8.151 4.344
Cd 5.381 8.151 11.659
Cd 1.890 2.717 10.285
Cd 1.601 2.717 2.970
Cd 1.143 9.844 3.608
Cd 2.348 6.458 10.922
Cd 5.839 4.410 11.022
Cd 4.634 1.024 3.707
Cd 5.839 1.024 11.022
Cd 4.634 4.410 3.707
Cd 1.143 6.458 3.608
Cd 2.348 9.844 10.922
Se 6.507 8.151 2.050
Se 3.965 8.151 9.364
Se 0.475 2.717 12.580
Se 3.016 2.717 5.265
Se 2.586 8.151 5.184
Se 0.904 8.151 12.498
Se 4.395 2.717 9.445
Se 6.077 2.717 2.131
Se 6.185 10.514 5.351
Se 4.288 5.788 12.666
Se 0.797 5.080 9.278
Se 2.694 0.354 1.963
Se 0.797 0.354 9.278
Se 2.694 5.080 1.963
Se 6.185 5.788 5.351
Se 4.288 10.514 12.666
```

Computed properties:
Crystal system = orthorhombic
E_form = -1.049 eV per atom


(3)
Fe2AgS3 | PBE-GGA | optimized geometry

```
24
Lattice="-0.123 5.852 2.812 -6.333 0.011 -0.299 -6.359 -4.713 9.529" Properties=species:S:1:pos:R:3 pbc="T T T"
Fe -5.401 5.205 2.271
Fe -4.269 -0.067 5.791
Fe -7.414 -4.055 9.771
Fe -8.546 1.216 6.251
Fe -8.460 1.228 10.217
Fe -7.565 -0.955 7.301
Fe -4.355 -0.078 1.825
Fe -5.250 2.104 4.741
Ag -5.443 2.107 8.857
Ag -10.588 -1.571 8.787
Ag -7.372 -0.957 3.185
Ag -2.227 2.720 3.255
S -10.473 0.584 10.097
S -5.530 -1.381 6.906
S -2.342 0.565 1.945
S -7.285 2.531 5.136
S -7.430 -0.087 11.567
S -8.572 -0.757 5.414
S -5.385 1.237 0.475
S -4.242 1.906 6.628
S -7.715 1.004 8.234
S -8.270 -2.667 8.353
S -5.100 0.146 3.807
S -4.545 3.817 3.689
```

Computed properties:
Crystal system = monoclinic
E_form = -0.508 eV per atom


(4)
ReC4IO4 | PBE-GGA | optimized geometry

```
80
Lattice="12.389 0.000 0.000 0.000 10.184 0.000 0.000 4.064 12.640" Properties=species:S:1:pos:R:3 pbc="T T T"
Re 1.589 8.989 8.639
Re 10.774 9.362 2.657
Re 1.616 4.887 9.984
Re 10.800 5.259 4.001
Re 7.784 7.291 10.321
Re 4.605 6.957 2.319
Re 7.810 11.394 8.977
Re 4.579 2.855 3.663
C 11.947 4.827 2.409
C 9.710 3.717 3.661
C 9.681 10.378 1.434
C 6.637 6.859 8.729
C 5.733 7.996 1.142
C 8.973 7.807 11.848
C 6.686 12.913 9.347
C 3.416 6.441 0.792
C 3.486 1.838 4.886
C 5.704 1.336 3.293
C 8.903 12.410 7.754
C 3.515 8.500 2.659
C 0.443 9.421 10.231
C 9.579 9.838 4.196
C 2.778 8.473 7.112
C 11.973 8.754 1.169
C 9.005 11.870 10.516
C 9.611 5.775 5.528
C 2.679 10.532 8.979
C 8.874 5.749 9.981
C 5.778 3.463 5.151
C 0.417 5.495 11.471
C 0.461 10.028 7.463
C 2.709 3.870 11.206
C 0.491 3.368 9.613
C 11.928 4.221 5.178
C 11.899 10.880 3.027
C 6.611 10.786 7.490
C 3.385 2.378 2.124
C 6.656 6.253 11.498
C 5.752 7.389 3.911
C 2.810 4.410 8.444
I 0.105 6.565 8.226
I 3.137 7.285 10.364
I 9.252 6.963 2.276
I 12.284 7.684 4.415
I 3.057 5.253 4.044
I 6.300 9.716 10.735
I 6.089 4.533 1.905
I 9.332 8.995 8.596
O 9.031 0.807 0.685
O 9.664 4.001 0.101
O 0.207 3.579 5.887
O 9.543 4.812 9.788
O 12.198 12.635 9.378
O 3.348 11.468 9.172
O 0.178 4.563 1.469
O 3.469 8.215 6.219
O 6.401 8.637 0.433
O 8.920 6.033 6.421
O 5.988 5.611 12.207
O 3.359 13.442 11.956
O 3.490 4.132 7.547
O 2.705 2.100 1.227
O 5.912 10.453 6.630
O 9.685 12.149 11.413
O 2.836 11.410 5.635
O 6.017 6.595 7.789
O 9.041 2.780 3.468
O 6.386 10.603 3.058
O 2.846 9.436 2.852
O 0.283 8.421 0.310
O 8.899 10.117 5.093
O 2.726 10.247 12.539
O 12.211 9.685 11.171
O 0.191 1.613 3.262
O 6.373 7.653 4.851
O 12.106 5.828 12.330
O 12.183 10.669 6.753
O 6.003 3.645 9.582
O 6.478 3.796 6.010
O 9.553 2.839 7.005
```

Computed properties:
Crystal system = monoclinic
E_form = -0.980 eV per atom


(5)
Li2ZnGe | PBE-GGA | optimized geometry

```
4
Lattice="-0.925 -0.316 4.255 -4.036 -1.059 1.284 -0.768 -3.911 1.782" Properties=species:S:1:pos:R:3 pbc="T T T"
Li -4.297 -3.964 5.491
Li 0.000 0.000 0.000
Zn -1.432 -1.321 1.830
Ge -2.864 -2.643 3.660
```

Computed properties:
Crystal system = cubic
Piezoelectric modulus e_max = 1.25 C/m2
E_form = -0.322 eV per atom


(6)
AlPO4 | PBE-GGA | optimized geometry

```
6
Lattice="-2.599 -3.408 0.167 2.194 -1.089 3.521 -1.744 1.405 1.522" Properties=species:S:1:pos:R:3 pbc="T T T"
Al 0.000 0.000 0.000
P -1.075 -1.546 2.605
O -0.958 -0.248 1.540
O 0.663 -1.829 2.449
O -1.192 -2.843 3.669
O -1.068 -2.667 1.238
```

Computed properties:
Crystal system = orthorhombic
E_form = -2.760 eV per atom


(7)
SrCu2Si2 | PBE-GGA | optimized geometry

```
5
Lattice="-1.158 3.373 -2.199 -2.416 -2.413 -2.428 -2.038 0.228 5.416" Properties=species:S:1:pos:R:3 pbc="T T T"
Sr 0.000 0.000 0.000
Cu -2.492 2.041 0.452
Cu -3.121 -0.852 0.337
Si -2.730 0.655 -1.549
Si -2.883 0.534 2.338
```

Computed properties:
Crystal system = tetragonal
E_form = -0.323 eV per atom


(8)
KBiO3 | PBE-GGA | optimized geometry

```
90
Lattice="8.754 0.000 0.000 -3.068 8.450 0.000 -2.398 -3.843 21.712" Properties=species:S:1:pos:R:3 pbc="T T T"
K 1.846 2.785 4.707
K 0.997 1.085 2.086
K 3.784 1.475 7.414
K -0.528 -0.538 12.403
K 4.392 6.538 3.412
K 4.382 0.009 0.020
K 4.147 5.966 10.016
K 1.329 -2.466 14.574
K 2.016 7.049 7.267
K 2.235 3.282 19.358
K -0.659 4.366 7.309
K 1.397 1.504 16.702
K -2.087 5.744 0.067
K 4.901 4.642 6.775
K -0.561 2.948 14.327
K -1.037 -1.822 18.125
K 4.889 0.239 14.452
K 5.340 -1.159 21.546
Bi -0.962 5.029 3.637
Bi 1.929 4.909 1.150
Bi 5.034 0.996 10.888
Bi 6.813 1.515 4.817
Bi -0.772 0.828 8.439
Bi 4.885 2.834 2.501
Bi 2.437 -3.131 18.124
Bi 1.017 -0.594 6.096
Bi 1.094 5.838 11.984
Bi 2.276 5.184 15.620
Bi 2.193 -1.281 9.746
Bi 0.875 7.719 3.627
Bi 4.059 3.777 13.283
Bi -1.603 1.790 19.230
Bi -3.510 3.090 16.919
Bi -1.776 3.622 10.816
Bi 1.369 -0.316 20.560
Bi 4.279 -0.449 18.062
O -0.905 6.951 2.619
O 2.112 6.854 2.057
O 6.075 4.654 2.453
O 0.248 4.022 2.134
O -0.738 3.320 4.863
O 3.170 4.076 2.757
O -0.496 2.726 9.307
O 6.612 1.706 6.912
O 3.323 0.542 9.720
O -1.911 1.732 11.874
O 6.691 1.640 2.650
O 4.981 2.732 4.686
O 0.929 1.275 7.170
O 6.215 0.035 9.286
O 5.111 2.705 0.383
O 5.439 -0.817 11.985
O -0.139 0.374 4.489
O 0.316 -0.292 9.940
O 5.557 -1.353 16.549
O 3.636 1.046 2.468
O 2.743 0.227 5.145
O -2.366 4.942 16.963
O 3.987 -2.438 14.126
O -0.760 -1.061 7.227
O 4.193 -2.348 19.134
O 0.965 6.018 9.809
O 2.321 -1.436 11.893
O 4.018 5.654 14.431
O 5.670 -0.343 4.814
O 2.404 -1.337 7.586
O 0.565 4.338 16.601
O 2.818 4.651 11.764
O -0.398 3.593 19.353
O -2.259 5.900 5.206
O 3.478 4.254 17.206
O -2.005 5.311 9.511
O -3.031 4.669 12.281
O -1.828 1.880 21.371
O 0.780 5.805 4.662
O -1.670 1.934 17.071
O 2.351 3.305 14.558
O -3.441 2.924 19.094
O 1.293 1.549 21.688
O 5.200 2.864 9.813
O -0.118 4.071 12.053
O -3.258 3.026 14.802
O 3.876 1.809 12.511
O 0.176 0.619 18.989
O 4.037 1.275 16.835
O 3.096 0.529 19.626
O 2.024 3.040 0.060
O 2.494 -1.210 17.098
O -2.752 -0.055 19.249
O 1.162 -2.247 19.683
```

Computed properties:
Crystal system = triclinic
E_form = -1.546 eV per atom


(9)
Sr5As3H | PBE-GGA | optimized geometry

```
18
Lattice="4.501 -7.796 0.000 4.501 7.796 0.000 0.000 0.000 7.163" Properties=species:S:1:pos:R:3 pbc="T T T"
Sr 6.762 0.000 1.791
Sr 3.381 -5.856 5.372
Sr 1.120 1.939 1.791
Sr 3.381 5.856 5.372
Sr 2.239 0.000 5.372
Sr 1.120 -1.939 1.791
Sr 4.501 2.599 3.581
Sr 4.501 -2.599 0.000
Sr 4.501 -2.599 3.581
Sr 4.501 2.599 0.000
As 1.768 -3.063 5.372
As 3.536 0.000 1.791
As 2.733 4.733 1.791
As 1.768 3.063 5.372
As 5.465 0.000 5.372
As 2.733 -4.733 1.791
H 0.000 0.000 3.581
H 0.000 0.000 0.000
```

Computed properties:
Crystal system = hexagonal
E_form = -1.068 eV per atom


(10)
Ce2MgNi2 | PBE-GGA | optimized geometry

```
40
Lattice="7.569 0.000 0.000 0.000 10.421 0.000 0.000 0.501 10.412" Properties=species:S:1:pos:R:3 pbc="T T T"
Ce 5.040 2.089 7.000
Ce 1.256 9.084 8.619
Ce 2.529 8.833 3.413
Ce 6.314 1.839 1.794
Ce 5.079 4.544 4.351
Ce 1.294 6.128 0.855
Ce 2.490 6.379 6.061
Ce 6.275 4.794 9.557
Ce 1.277 1.180 6.110
Ce 5.061 9.994 9.508
Ce 6.293 9.743 4.302
Ce 2.508 0.929 0.904
Ce 2.519 3.887 8.710
Ce 6.303 7.286 6.908
Ce 5.051 7.035 1.702
Ce 1.266 3.637 3.504
Mg 3.789 1.471 3.951
Mg 0.005 9.201 1.255
Mg 3.780 9.451 6.461
Mg 7.565 1.722 9.157
Mg 3.788 3.963 1.341
Mg 0.004 6.709 3.865
Mg 3.781 6.959 9.071
Mg 7.566 4.214 6.547
Ni 6.604 2.191 4.683
Ni 2.819 8.481 0.523
Ni 0.965 8.732 5.730
Ni 4.750 2.441 9.889
Ni 4.738 7.380 4.568
Ni 0.953 3.292 0.639
Ni 2.832 3.543 5.845
Ni 6.616 7.630 9.774
Ni 4.772 9.914 1.924
Ni 0.987 0.758 3.282
Ni 2.798 1.009 8.488
Ni 6.582 10.164 7.130
Ni 6.587 4.716 1.973
Ni 2.803 5.956 3.233
Ni 0.982 6.207 8.439
Ni 4.767 4.966 7.179
```

Computed properties:
Crystal system = monoclinic
E_form = -0.314 eV per atom